1.
Compound: Li2CrFeP2O8
Source: Materials Project
Functional: PBE+U
Structure: relaxed

Results
Raw total energy: -6.98 eV/atom
Space group: No. 11

a b c (Å): 4.779 10.769 5.978
angles (deg): 90.01 90.00 91.83
Fractional coordinates of all 28 atoms:
P 0.921 0.412 0.750
P 0.410 0.099 0.250
P 0.079 0.588 0.250
P 0.589 0.901 0.750
O 0.281 0.167 0.042
O 0.281 0.167 0.458
O 0.790 0.542 0.750
O 0.718 0.833 0.542
O 0.761 0.584 0.250
O 0.720 0.035 0.750
O 0.210 0.458 0.250
O 0.280 0.965 0.250
O 0.718 0.833 0.958
O 0.214 0.663 0.046
O 0.733 0.104 0.250
O 0.786 0.338 0.546
O 0.786 0.338 0.954
O 0.267 0.897 0.750
O 0.214 0.662 0.454
O 0.239 0.416 0.750
Li 0.000 0.000 0.000
Li 0.500 0.500 0.000
Li 0.000 0.000 0.500
Li 0.500 0.500 0.500
Fe 0.982 0.280 0.250
Fe 0.018 0.720 0.750
Cr 0.507 0.224 0.750
Cr 0.493 0.775 0.250



2.
Compound: Li4CrFe3Sn2P6O24
Source: Materials Project
Functional: PBE+U
Structure: relaxed

Results
Raw total energy: -6.87 eV/atom
Space group: No. 1

a b c (Å): 8.521 8.564 9.234
angles (deg): 90.77 116.86 119.70
Fractional coordinates of all 40 atoms:
P 0.786 0.237 0.751
P 0.804 0.043 0.248
P 0.509 0.550 0.754
P 0.495 0.452 0.259
P 0.204 0.965 0.748
P 0.218 0.763 0.259
O 0.146 0.891 0.289
O 0.408 0.253 0.287
O 0.402 0.403 0.590
O 0.850 0.100 0.721
O 0.633 0.758 0.740
O 0.975 0.443 0.789
O 0.659 0.861 0.091
O 0.670 0.544 0.916
O 0.251 0.807 0.765
O 0.796 0.986 0.403
O 0.975 0.872 0.717
O 0.030 0.557 0.194
O 0.333 0.543 0.779
O 0.732 0.178 0.207
O 0.586 0.190 0.590
O 0.616 0.605 0.428
O 0.036 0.149 0.285
O 0.211 0.032 0.600
O 0.299 0.449 0.122
O 0.408 0.796 0.429
O 0.355 0.118 0.924
O 0.287 0.818 0.126
O 0.766 0.211 0.909
O 0.651 0.488 0.202
Li 0.548 0.888 0.852
Li 0.457 0.095 0.171
Li 0.817 0.719 0.158
Li 0.067 0.355 0.168
Sn 0.036 0.514 0.580
Sn 0.993 0.997 0.937
Fe 0.686 0.843 0.532
Fe 0.686 0.345 0.039
Fe 0.314 0.649 0.991
Cr 0.304 0.156 0.449



3.
Compound: Li4Cr3Fe2Sb3O16
Source: Materials Project
Functional: PBE+U
Structure: relaxed

Results
Raw total energy: -6.50 eV/atom
Space group: No. 1

a b c (Å): 6.090 6.125 9.917
angles (deg): 89.91 89.96 120.21
Fractional coordinates of all 28 atoms:
Sb 0.661 0.831 0.215
Sb 0.829 0.662 0.716
Sb 0.829 0.167 0.716
O 0.314 0.156 0.107
O 0.665 0.333 0.604
O 0.840 0.689 0.103
O 0.335 0.668 0.106
O 0.488 0.519 0.333
O 0.147 0.308 0.608
O 0.998 0.999 0.820
O 0.975 0.487 0.830
O 0.147 0.839 0.608
O 0.035 0.518 0.330
O 0.686 0.843 0.604
O 0.998 0.999 0.313
O 0.520 0.031 0.828
O 0.487 0.968 0.333
O 0.840 0.150 0.102
O 0.520 0.488 0.828
Fe 0.309 0.655 0.476
Fe 0.653 0.327 0.014
Cr 0.168 0.336 0.215
Cr 0.168 0.832 0.215
Cr 0.334 0.167 0.717
Li 0.344 0.671 0.903
Li 0.022 0.011 0.491
Li 0.672 0.336 0.368
Li 0.016 0.008 0.006



4.
Compound: Li4Ti2Cr3Fe3O16
Source: Materials Project
Functional: PBE+U
Structure: relaxed

Results
Raw total energy: -7.08 eV/atom
Space group: No. 8

a b c (Å): 5.877 5.877 9.449
angles (deg): 89.97 89.97 60.06
Fractional coordinates of all 28 atoms:
Li 0.329 0.329 0.896
Li 0.003 0.003 0.995
Li 0.665 0.665 0.397
Li 0.001 0.001 0.494
O 0.172 0.671 0.598
O 0.039 0.485 0.350
O 0.485 0.039 0.350
O 0.338 0.827 0.092
O 0.671 0.172 0.598
O 0.662 0.662 0.610
O 0.004 0.004 0.807
O 0.331 0.331 0.104
O 0.480 0.480 0.343
O 0.163 0.163 0.601
O 0.957 0.514 0.837
O 0.833 0.833 0.092
O 0.514 0.957 0.837
O 0.001 0.001 0.308
O 0.827 0.338 0.092
O 0.520 0.520 0.835
Fe 0.340 0.830 0.715
Fe 0.830 0.340 0.715
Fe 0.170 0.170 0.217
Ti 0.667 0.667 0.999
Ti 0.338 0.338 0.485
Cr 0.660 0.169 0.214
Cr 0.830 0.830 0.714
Cr 0.169 0.660 0.214



5.
Compound: Li4Ti4CrFe4O18
Source: Materials Project
Functional: PBE+U
Structure: relaxed

Results
Raw total energy: -7.28 eV/atom
Space group: No. 55

a b c (Å): 2.945 9.253 25.249
angles (deg): 90.00 90.00 90.00
Fractional coordinates of all 62 atoms:
Li 0.000 0.199 0.184
Li 0.000 0.804 0.010
Li 0.000 0.301 0.684
Li 0.000 0.696 0.510
Li 0.000 0.801 0.816
Li 0.000 0.699 0.316
Li 0.000 0.304 0.490
Li 0.000 0.196 0.990
Fe 0.000 0.999 0.308
Fe 0.500 0.849 0.413
Fe 0.500 0.349 0.087
Fe 0.000 0.001 0.692
Fe 0.000 0.499 0.192
Fe 0.500 0.151 0.587
Fe 0.000 0.501 0.808
Fe 0.500 0.651 0.913
O 0.500 0.439 0.444
O 0.000 0.507 0.924
O 0.500 0.542 0.343
O 0.500 0.561 0.556
O 0.500 0.633 0.834
O 0.000 0.814 0.142
O 0.000 0.686 0.642
O 0.500 0.133 0.666
O 0.000 0.493 0.076
O 0.000 0.314 0.358
O 0.500 0.958 0.843
O 0.000 0.199 0.082
O 0.500 0.939 0.056
O 0.500 0.367 0.166
O 0.000 0.394 0.260
O 0.500 0.856 0.497
O 0.000 0.699 0.418
O 0.000 0.186 0.858
O 0.000 0.894 0.240
O 0.500 0.138 0.294
O 0.500 0.362 0.794
O 0.500 0.862 0.706
O 0.500 0.144 0.503
O 0.000 0.606 0.740
O 0.000 0.106 0.760
O 0.500 0.356 0.003
O 0.500 0.061 0.944
O 0.500 0.644 0.997
O 0.500 0.458 0.657
O 0.500 0.638 0.206
O 0.000 0.801 0.918
O 0.000 0.007 0.576
O 0.500 0.042 0.157
O 0.000 0.993 0.424
O 0.500 0.867 0.334
O 0.000 0.301 0.582
Ti 0.500 0.658 0.691
Ti 0.000 0.502 0.600
Ti 0.500 0.342 0.309
Ti 0.000 0.498 0.400
Ti 0.500 0.158 0.809
Ti 0.000 0.002 0.900
Ti 0.000 0.998 0.100
Ti 0.500 0.842 0.191
Cr 0.000 0.500 0.000
Cr 0.000 0.000 0.500



6.
Compound: Li4Ti3Cr2Fe3O16
Source: Materials Project
Functional: PBE+U
Structure: relaxed

Results
Raw total energy: -7.26 eV/atom
Space group: No. 8

a b c (Å): 5.936 5.936 9.605
angles (deg): 89.62 89.62 59.89
Fractional coordinates of all 28 atoms:
O 0.330 0.330 0.397
O 0.834 0.834 0.400
O 0.663 0.663 0.896
O 0.473 0.041 0.159
O 0.330 0.841 0.399
O 0.001 0.001 0.191
O 0.165 0.165 0.894
O 0.957 0.513 0.658
O 0.481 0.481 0.159
O 0.513 0.957 0.658
O 0.173 0.672 0.898
O 0.672 0.173 0.898
O 0.519 0.519 0.663
O 0.841 0.330 0.399
O 0.041 0.473 0.159
O 0.002 0.002 0.689
Ti 0.337 0.832 0.786
Ti 0.832 0.337 0.786
Ti 0.169 0.169 0.286
Cr 0.666 0.666 0.514
Cr 0.336 0.336 0.017
Li 0.669 0.669 0.108
Li 0.996 0.996 0.005
Li 0.333 0.333 0.604
Li 0.997 0.997 0.503
Fe 0.170 0.661 0.287
Fe 0.661 0.170 0.287
Fe 0.831 0.831 0.786



7.
Compound: Li4Cr3Fe3W2O16
Source: Materials Project
Functional: PBE+U
Structure: relaxed

Results
Raw total energy: -6.95 eV/atom
Space group: No. 1

a b c (Å): 5.983 5.987 9.709
angles (deg): 89.33 89.44 60.05
Fractional coordinates of all 28 atoms:
O 0.171 0.170 0.907
O 0.343 0.831 0.409
O 0.665 0.663 0.890
O 0.465 0.040 0.148
O 0.507 0.959 0.648
O 0.832 0.352 0.411
O 0.656 0.177 0.912
O 0.826 0.831 0.415
O 0.520 0.520 0.657
O 0.478 0.483 0.145
O 0.181 0.650 0.912
O 0.959 0.510 0.649
O 0.041 0.475 0.152
O 0.323 0.343 0.392
O 0.002 0.003 0.695
O 0.005 0.994 0.198
Fe 0.184 0.655 0.282
Fe 0.832 0.831 0.789
Fe 0.661 0.171 0.290
Li 0.668 0.668 0.092
Li 0.999 0.996 0.011
Li 0.334 0.332 0.595
Li 0.995 0.004 0.510
W 0.338 0.329 0.012
W 0.671 0.669 0.515
Cr 0.170 0.172 0.286
Cr 0.341 0.830 0.785
Cr 0.832 0.340 0.785



8.
Compound: MgCr2Fe3NiP6O24
Source: Materials Project
Functional: PBE+U
Structure: relaxed

Results
Raw total energy: -7.03 eV/atom
ΔE to the lowest computed polymorph: 38 meV per atom
Space group: No. 146

a b c (Å): 8.551 8.554 8.554
angles (deg): 60.89 60.90 60.89
Fractional coordinates of all 37 atoms:
O 0.250 0.597 0.432
O 0.184 0.382 0.995
O 0.927 0.093 0.748
O 0.382 0.995 0.184
O 0.834 0.587 0.997
O 0.432 0.250 0.596
O 0.587 0.997 0.834
O 0.507 0.899 0.652
O 0.562 0.742 0.404
O 0.596 0.432 0.250
O 0.995 0.184 0.383
O 0.889 0.241 0.049
O 0.899 0.653 0.507
O 0.241 0.050 0.889
O 0.049 0.889 0.241
O 0.106 0.312 0.495
O 0.742 0.404 0.563
O 0.404 0.563 0.742
O 0.749 0.927 0.093
O 0.494 0.106 0.312
O 0.312 0.494 0.106
O 0.652 0.508 0.899
O 0.093 0.749 0.927
O 0.997 0.834 0.587
Fe 0.646 0.646 0.645
Fe 0.363 0.363 0.362
Fe 0.246 0.246 0.246
Ni 0.848 0.848 0.848
P 0.940 0.245 0.550
P 0.748 0.448 0.040
P 0.040 0.748 0.448
P 0.550 0.940 0.245
P 0.245 0.550 0.940
P 0.448 0.040 0.748
Cr 0.991 0.990 0.990
Cr 0.499 0.499 0.499
Mg 0.124 0.125 0.124



9.
Compound: MgCr2Fe3NiP6O24
Source: Materials Project
Functional: PBE+U
Structure: relaxed

Results
Raw total energy: -7.03 eV/atom
ΔE to the lowest computed polymorph: 43 meV per atom
Space group: No. 146

a b c (Å): 8.578 8.578 8.578
angles (deg): 60.48 60.47 60.47
Fractional coordinates of all 37 atoms:
O 0.342 0.487 0.097
O 0.020 0.149 0.406
O 0.889 0.687 0.500
O 0.687 0.500 0.889
O 0.431 0.253 0.593
O 0.593 0.431 0.253
O 0.249 0.068 0.908
O 0.068 0.908 0.249
O 0.616 0.999 0.810
O 0.751 0.389 0.552
O 0.908 0.249 0.069
O 0.253 0.593 0.431
O 0.389 0.551 0.751
O 0.753 0.949 0.103
O 0.500 0.889 0.687
O 0.949 0.103 0.753
O 0.999 0.810 0.616
O 0.551 0.751 0.389
O 0.149 0.406 0.021
O 0.488 0.097 0.343
O 0.103 0.753 0.949
O 0.097 0.342 0.488
O 0.406 0.020 0.150
O 0.810 0.616 0.999
Fe 0.149 0.149 0.149
Fe 0.351 0.351 0.351
Fe 0.629 0.629 0.629
P 0.246 0.545 0.958
P 0.750 0.450 0.052
P 0.450 0.052 0.750
P 0.052 0.750 0.450
P 0.545 0.958 0.246
P 0.958 0.246 0.546
Cr 0.005 0.004 0.004
Cr 0.496 0.496 0.496
Mg 0.749 0.749 0.750
Ni 0.871 0.871 0.871



10.
Compound: MgCr2Fe3NiP6O24
Source: Materials Project
Functional: PBE+U
Structure: relaxed

Results
Raw total energy: -7.07 eV/atom
ΔE to the lowest computed polymorph: 0 meV per atom
Space group: No. 1

a b c (Å): 8.615 8.612 8.386
angles (deg): 61.53 61.47 60.79
Fractional coordinates of all 37 atoms:
O 0.236 0.593 0.430
O 0.189 0.388 0.003
O 0.348 0.496 0.099
O 0.976 0.808 0.612
O 0.772 0.417 0.537
O 0.248 0.049 0.915
O 0.490 0.889 0.679
O 0.946 0.099 0.747
O 0.405 0.572 0.749
O 0.893 0.683 0.452
O 0.699 0.523 0.885
O 0.823 0.589 0.058
O 0.757 0.934 0.093
O 0.516 0.112 0.315
O 0.596 0.423 0.257
O 0.085 0.730 0.974
O 0.057 0.911 0.245
O 0.415 0.240 0.603
O 0.914 0.253 0.057
O 0.395 0.999 0.183
O 0.584 0.757 0.394
O 0.596 0.004 0.826
O 0.115 0.323 0.478
O 0.997 0.163 0.397
Fe 0.358 0.352 0.358
Fe 0.152 0.141 0.144
Fe 0.642 0.649 0.652
P 0.550 0.962 0.247
P 0.755 0.451 0.062
P 0.039 0.748 0.444
P 0.448 0.041 0.753
P 0.962 0.245 0.543
P 0.261 0.541 0.956
Mg 0.869 0.633 0.248
Cr 0.491 0.494 0.508
Cr 0.003 0.006 0.995
Ni 0.847 0.860 0.852